VASP calculation (PBE) on a relaxed structure of Te4Mo3WSe2S2.

a b c (Å): 3.400 3.400 38.666
angles (deg): 90.00 90.00 120.00
Sites, in units of the cell vectors:
Te (0.000, 0.000, 0.000)
Te (0.000, 0.000, 0.097)
Te (0.333, 0.667, 0.437)
Te (0.333, 0.667, 0.534)
Mo (0.000, 0.000, 0.485)
Mo (0.000, 0.000, 0.861)
Mo (0.333, 0.667, 0.673)
W (0.333, 0.667, 0.049)
Se (0.333, 0.667, 0.818)
Se (0.333, 0.667, 0.903)
S (0.000, 0.000, 0.634)
S (0.000, 0.000, 0.712)

The formation energy is -11.543 kcal/mol of atoms. The energy above the lowest structure with this stoichiometry comes out at 36 meV per atom.